[1]
# Na4Zr2Al2Si3S3O24 (PBE, optimized geometry)
# - ΔH_f (0 K) (eV/atom) = -2.74
# - energy (eV/cell) = -794.866
data_Na4Zr2Al2Si3S3O24
_cell_length_a 8.9197
_cell_length_b 8.9220
_cell_length_c 22.6634
_cell_angle_alpha 89.87
_cell_angle_beta 88.63
_cell_angle_gamma 60.04
_symmetry_space_group_name_H-M 'P 1'
_symmetry_Int_Tables_number 1
loop_
_symmetry_equiv_pos_as_xyz
'x,y,z'
loop_
_atom_site_label
_atom_site_fract_x
_atom_site_fract_y
_atom_site_fract_z
Na1 0.0000 0.0000 0.0000
Na2 0.0001 0.3701 0.2558
Na3 0.0090 0.3560 0.7661
Na4 0.3303 0.3306 0.6824
Na5 0.3303 0.7026 0.4201
Na6 0.3317 0.6926 0.9276
Na7 0.3398 0.0537 0.1663
Na8 0.6568 0.0287 0.0870
Na9 0.6640 0.6716 0.3345
Na10 0.6669 0.3849 0.8460
Na11 0.6764 0.0094 0.5934
Na12 0.9958 0.7240 0.5052
Zr1 0.3141 0.6955 0.7781
Zr2 0.3286 0.6980 0.2743
Zr3 0.6546 0.0404 0.9420
Zr4 0.6632 0.0135 0.4382
Zr5 0.9889 0.3753 0.6076
Zr6 0.9897 0.3655 0.1038
Al1 0.0214 0.3179 0.9022
Al2 0.3347 0.7018 0.5710
Al3 0.3801 0.6935 0.0627
Al4 0.6636 0.9913 0.2391
Al5 0.6893 0.0148 0.7452
Al6 0.9877 0.3730 0.3947
Si1 0.0326 0.7139 0.6677
Si2 0.2900 0.0606 0.0064
Si3 0.3582 0.0447 0.3361
Si4 0.3690 0.3032 0.8333
Si5 0.6286 0.6970 0.1712
Si6 0.6950 0.6435 0.5015
Si7 0.7072 0.3702 0.9994
Si8 0.9514 0.0367 0.8386
Si9 0.9577 0.7278 0.3369
S1 0.0061 0.0676 0.5029
S2 0.0076 0.6459 0.0014
S3 0.0304 0.9818 0.1704
S4 0.2897 0.3661 0.5034
S5 0.3393 0.9779 0.6674
S6 0.3421 0.3998 0.1687
S7 0.6163 0.4026 0.6685
S8 0.6730 0.3093 0.3362
S9 0.6731 0.7349 0.8344
O1 0.0240 0.1543 0.1681
O2 0.0258 0.5279 0.6626
O3 0.0269 0.1520 0.4504
O4 0.0293 0.5388 0.9498
O5 0.1112 0.8787 0.1163
O6 0.1367 0.7256 0.6078
O7 0.1453 0.8974 0.2224
O8 0.1498 0.8709 0.8323
O9 0.1526 0.6980 0.3324
O10 0.1589 0.6689 0.0094
O11 0.1603 0.8883 0.5080
O12 0.1635 0.1550 0.9514
O13 0.1661 0.6613 0.7226
O14 0.1687 0.2090 0.3508
O15 0.1759 0.3351 0.8467
O16 0.1787 0.3881 0.4533
O17 0.1806 0.1558 0.6626
O18 0.1878 0.3729 0.1673
O19 0.2147 0.1726 0.0684
O20 0.2159 0.3336 0.5595
O21 0.2926 0.8755 0.0142
O22 0.2986 0.5279 0.5102
O23 0.3122 0.5050 0.2238
O24 0.3136 0.9013 0.7217
O25 0.3531 0.8612 0.3322
O26 0.3545 0.4910 0.1164
O27 0.3577 0.8705 0.6146
O28 0.3661 0.4928 0.8281
O29 0.4564 0.0653 0.2772
O30 0.4675 0.2152 0.4985
O31 0.4690 0.1868 0.7727
O32 0.4866 0.0262 0.0004
O33 0.4905 0.0015 0.6697
O34 0.4914 0.9982 0.3922
O35 0.4974 0.2239 0.8893
O36 0.4967 0.7305 0.1173
O37 0.4996 0.2266 0.1742
O38 0.5039 0.6668 0.5160
O39 0.5069 0.4966 0.6177
O40 0.5143 0.5352 0.0101
O41 0.5179 0.4889 0.3331
O42 0.5190 0.7097 0.8273
O43 0.5431 0.6683 0.2322
O44 0.5485 0.5046 0.7238
O45 0.6265 0.2326 0.6717
O46 0.6369 0.8774 0.1775
O47 0.6383 0.8390 0.8884
O48 0.6449 0.2353 0.3914
O49 0.6867 0.8353 0.5005
O50 0.6913 0.8239 0.7812
O51 0.6940 0.2039 0.2838
O52 0.6963 0.1900 0.9993
O53 0.7968 0.3730 0.6619
O54 0.8006 0.5230 0.4439
O55 0.8055 0.3910 0.9409
O56 0.8226 0.5276 0.1678
O57 0.8258 0.8299 0.2837
O58 0.8265 0.5573 0.5583
O59 0.8270 0.5632 0.8377
O60 0.8279 0.3313 0.3419
O61 0.8282 0.3329 0.0578
O62 0.8297 0.0639 0.7824
O63 0.8391 0.8785 0.6811
O64 0.8474 0.0487 0.5015
O65 0.8497 0.8226 0.9992
O66 0.8560 0.0068 0.1813
O67 0.8787 0.9914 0.8984
O68 0.8820 0.8420 0.3992
O69 0.9602 0.5443 0.3447
O70 0.9631 0.2128 0.8437
O71 0.9766 0.5709 0.0571
O72 0.9862 0.1686 0.5579

[2]
# Na8Zr2Al2Si5SO24 (PBE, optimized geometry)
# - ΔH_f (0 K) (eV/atom) = -2.90
# - energy (eV/cell) = -871.671
data_Na8Zr2Al2Si5SO24
_cell_length_a 9.0442
_cell_length_b 9.0691
_cell_length_c 22.1744
_cell_angle_alpha 90.23
_cell_angle_beta 90.23
_cell_angle_gamma 119.71
_symmetry_space_group_name_H-M 'P 1'
_symmetry_Int_Tables_number 1
loop_
_symmetry_equiv_pos_as_xyz
'x,y,z'
loop_
_atom_site_label
_atom_site_fract_x
_atom_site_fract_y
_atom_site_fract_z
Na1 0.0000 0.0000 0.0000
Na2 0.9999 0.3661 0.4978
Na3 0.0218 0.6926 0.5833
Na4 0.0312 0.7010 0.0844
Na5 0.0325 0.3400 0.8309
Na6 0.0450 0.0800 0.3311
Na7 0.0582 0.0344 0.6616
Na8 0.0633 0.4013 0.1659
Na9 0.3292 0.0303 0.1657
Na10 0.3295 0.6541 0.6659
Na11 0.3567 0.3600 0.2489
Na12 0.3663 0.0045 0.4952
Na13 0.3671 0.7327 0.9973
Na14 0.3697 0.3798 0.7475
Na15 0.3869 0.6945 0.3327
Na16 0.4059 0.0681 0.8358
Na17 0.6517 0.6888 0.8292
Na18 0.6586 0.3279 0.3364
Na19 0.6906 0.0329 0.9133
Na20 0.6957 0.0403 0.4157
Na21 0.6998 0.4074 0.6611
Na22 0.7023 0.6694 0.1634
Na23 0.7283 0.3656 0.9972
Na24 0.7277 0.7274 0.5006
Zr1 0.0348 0.6892 0.9311
Zr2 0.0371 0.6958 0.4368
Zr3 0.3651 0.3656 0.0992
Zr4 0.6970 0.0408 0.2647
Zr5 0.6991 0.0351 0.0623
Zr6 0.7090 0.0351 0.5614
Al1 0.0066 0.6588 0.7309
Al2 0.0520 0.7044 0.2261
Al3 0.3483 0.3527 0.3998
Al4 0.3633 0.3801 0.5962
Al5 0.3782 0.3817 0.8977
Al6 0.6978 0.0294 0.7645
Si1 0.0401 0.4104 0.3292
Si2 0.0785 0.3625 0.9926
Si3 0.0876 0.0875 0.4995
Si4 0.3198 0.9965 0.3300
Si5 0.3300 0.7022 0.8253
Si6 0.3633 0.0796 0.9923
Si7 0.3677 0.6457 0.4967
Si8 0.3971 0.7357 0.1660
Si9 0.6374 0.3653 0.4982
Si10 0.6563 0.6584 0.9947
Si11 0.7019 0.7362 0.6692
Si12 0.7081 0.3439 0.1661
Si13 0.7252 0.3926 0.8276
Si14 0.9949 0.3249 0.6686
Si15 0.9956 0.0227 0.1671
S1 0.0297 0.9919 0.8277
S2 0.4037 0.0316 0.6671
S3 0.7378 0.6960 0.3302
O1 0.0005 0.8879 0.8832
O2 0.0078 0.8513 0.1747
O3 0.0139 0.5163 0.6734
O4 0.0560 0.8923 0.4953
O5 0.0567 0.5329 0.9913
O6 0.0568 0.9067 0.7755
O7 0.0638 0.5340 0.2723
O8 0.1624 0.1980 0.4386
O9 0.1739 0.3362 0.9352
O10 0.1804 0.1950 0.1623
O11 0.1827 0.1624 0.8335
O12 0.1837 0.3406 0.6597
O13 0.1882 0.4013 0.0552
O14 0.1943 0.6738 0.7705
O15 0.1939 0.8901 0.9893
O16 0.1960 0.8990 0.2723
O17 0.1971 0.6698 0.4949
O18 0.2043 0.1740 0.5593
O19 0.2123 0.7224 0.1710
O20 0.2134 0.3957 0.3370
O21 0.2322 0.8804 0.6728
O22 0.2348 0.8769 0.3898
O23 0.2522 0.7446 0.8865
O24 0.3293 0.1536 0.0552
O25 0.3313 0.5342 0.5575
O26 0.3393 0.5257 0.8343
O27 0.3438 0.1881 0.3368
O28 0.3795 0.5488 0.1623
O29 0.3896 0.1870 0.6624
O30 0.3913 0.2033 0.9356
O31 0.3974 0.5597 0.4369
O32 0.4782 0.0002 0.6116
O33 0.4847 0.8580 0.1070
O34 0.5095 0.0096 0.3284
O35 0.5170 0.0585 0.7196
O36 0.5206 0.8727 0.8187
O37 0.5220 0.8200 0.2246
O38 0.5254 0.3380 0.4369
O39 0.5305 0.5471 0.6601
O40 0.5318 0.8404 0.5017
O41 0.5337 0.5686 0.9369
O42 0.5346 0.0609 0.9977
O43 0.5348 0.3551 0.1625
O44 0.5369 0.3775 0.8363
O45 0.5525 0.3934 0.5589
O46 0.5682 0.5438 0.3345
O47 0.5811 0.5443 0.0557
O48 0.6623 0.1957 0.5024
O49 0.6632 0.2138 0.2232
O50 0.6675 0.8365 0.7241
O51 0.6722 0.8460 0.9993
O52 0.7138 0.2064 0.8183
O53 0.7202 0.8509 0.3273
O54 0.7370 0.8560 0.6082
O55 0.7432 0.2557 0.1069
O56 0.8186 0.5255 0.7724
O57 0.8223 0.6739 0.2764
O58 0.8310 0.5347 0.4945
O59 0.8425 0.7245 0.3853
O60 0.8479 0.6834 0.9896
O61 0.8507 0.4780 0.8871
O62 0.8708 0.2171 0.3277
O63 0.8715 0.2475 0.6080
O64 0.8739 0.0090 0.8233
O65 0.8744 0.9907 0.1070
O66 0.8759 0.5271 0.1764
O67 0.8798 0.7244 0.6770
O68 0.8888 0.1949 0.9974
O69 0.8928 0.0638 0.5019
O70 0.8939 0.1954 0.7242
O71 0.9082 0.0624 0.2248
O72 0.9944 0.4882 0.3891